Material: DyAs
Method: DFT, PBE
State: relaxed

Output
Formation energy   -1.050 eV per atom
Energy   -5.683 eV/atom
Space-group type   Pm-3m
Crystal system   cubic
Total magnetization   0.001 μB/atom

a = 3.5765 Å, b = 3.5765 Å, c = 3.5765 Å
α = 90.00°, β = 90.00°, γ = 90.00°
Fractional positions:
Dy 0.0000 0.0000 0.0000
As 0.5000 0.5000 0.5000